# SrU

A relaxed SrU crystal (GGA-PBE, Materials Project).

Cell and atoms, written as CIF:
```
data_SrU
_chemical_formula_sum 'Sr1 U1'
_symmetry_space_group_name_H-M 'P 1'
_symmetry_Int_Tables_number 1
_symmetry_space_group_name_Hall 'P 1'
_cell_length_a 11.559
_cell_length_b 11.559
_cell_length_c 11.559
_cell_angle_alpha 17.12
_cell_angle_beta 17.12
_cell_angle_gamma 17.12
loop_
_atom_site_label
_atom_site_type_symbol
_atom_site_fract_x
_atom_site_fract_y
_atom_site_fract_z
U1 U 0.648 0.648 0.648
Sr1 Sr 0.890 0.890 0.890
```

magnetization	3.9	μB per formula unit
total DFT energy (no corrections)	-9.99	eV/cell
ΔH_f (0 K)	1.4958	eV/atom
space group	R3m (160)